# r2SCAN NdNi2As2, optimized geometry
data_NdNi2As2
_cell_length_a 4.196
_cell_length_b 4.196
_cell_length_c 9.377
_cell_angle_alpha 90.00
_cell_angle_beta 90.00
_cell_angle_gamma 90.00
_symmetry_space_group_name_H-M 'P 4/n m m'
_symmetry_Int_Tables_number 129
loop_
_symmetry_equiv_pos_as_xyz
'x,y,z'
'-x,-y,-z'
'-y+1/2,x,z'
'y+1/2,-x,-z'
'-x+1/2,-y+1/2,z'
'x+1/2,y+1/2,-z'
'y,-x+1/2,z'
'-y,x+1/2,-z'
'x+1/2,-y,-z'
'-x+1/2,y,z'
'-y,-x,-z'
'y,x,z'
'-x,y+1/2,-z'
'x,-y+1/2,z'
'y+1/2,x+1/2,-z'
'-y+1/2,-x+1/2,z'
loop_
_atom_site_label
_atom_site_fract_x
_atom_site_fract_y
_atom_site_fract_z
Nd1 0.250 0.250 0.248
Ni1 0.250 0.250 0.617
Ni2 0.250 0.750 0.000
As1 0.250 0.250 0.872
As2 0.250 0.750 0.500
# Calculated total energy ... -17.4485 eV per atom

# r2SCAN Nd2As4O9, optimized geometry
data_Nd2As4O9
_cell_length_a 6.902
_cell_length_b 7.671
_cell_length_c 9.615
_cell_angle_alpha 96.44
_cell_angle_beta 103.77
_cell_angle_gamma 104.51
_symmetry_space_group_name_H-M 'P -1'
_symmetry_Int_Tables_number 2
loop_
_symmetry_equiv_pos_as_xyz
'x,y,z'
'-x,-y,-z'
loop_
_atom_site_label
_atom_site_fract_x
_atom_site_fract_y
_atom_site_fract_z
Nd1 0.221 0.032 0.405
Nd2 0.250 0.557 0.380
As1 0.176 0.273 0.059
As2 0.251 0.422 0.715
As3 0.308 0.851 0.708
As4 0.321 0.739 0.079
O1 0.001 0.277 0.674
O2 0.104 0.816 0.992
O3 0.127 0.957 0.629
O4 0.138 0.604 0.645
O5 0.183 0.514 0.112
O6 0.226 0.250 0.241
O7 0.342 0.369 0.562
O8 0.368 0.835 0.260
O9 0.408 0.833 0.554
# Calculated total energy ... -13.6501 eV per atom

# r2SCAN NdZnAsO, optimized geometry
data_NdZnAsO
_cell_length_a 4.036
_cell_length_b 4.036
_cell_length_c 9.033
_cell_angle_alpha 90.00
_cell_angle_beta 90.00
_cell_angle_gamma 90.00
_symmetry_space_group_name_H-M 'P 4/n m m'
_symmetry_Int_Tables_number 129
loop_
_symmetry_equiv_pos_as_xyz
'x,y,z'
'-x,-y,-z'
'-y+1/2,x,z'
'y+1/2,-x,-z'
'-x+1/2,-y+1/2,z'
'x+1/2,y+1/2,-z'
'y,-x+1/2,z'
'-y,x+1/2,-z'
'x+1/2,-y,-z'
'-x+1/2,y,z'
'-y,-x,-z'
'y,x,z'
'-x,y+1/2,-z'
'x,-y+1/2,z'
'y+1/2,x+1/2,-z'
'-y+1/2,-x+1/2,z'
loop_
_atom_site_label
_atom_site_fract_x
_atom_site_fract_y
_atom_site_fract_z
Nd1 0.250 0.250 0.131
Zn1 0.250 0.750 0.500
As1 0.250 0.250 0.673
O1 0.250 0.750 0.000
# Calculated total energy ... -16.7651 eV per atom

# r2SCAN NdAs2Rh2, optimized geometry
data_NdAs2Rh2
_cell_length_a 4.282
_cell_length_b 4.282
_cell_length_c 9.914
_cell_angle_alpha 90.00
_cell_angle_beta 90.00
_cell_angle_gamma 90.00
_symmetry_space_group_name_H-M 'P 4/n m m'
_symmetry_Int_Tables_number 129
loop_
_symmetry_equiv_pos_as_xyz
'x,y,z'
'-x,-y,-z'
'-y+1/2,x,z'
'y+1/2,-x,-z'
'-x+1/2,-y+1/2,z'
'x+1/2,y+1/2,-z'
'y,-x+1/2,z'
'-y,x+1/2,-z'
'x+1/2,-y,-z'
'-x+1/2,y,z'
'-y,-x,-z'
'y,x,z'
'-x,y+1/2,-z'
'x,-y+1/2,z'
'y+1/2,x+1/2,-z'
'-y+1/2,-x+1/2,z'
loop_
_atom_site_label
_atom_site_fract_x
_atom_site_fract_y
_atom_site_fract_z
Nd1 0.250 0.250 0.246
As1 0.250 0.250 0.637
As2 0.250 0.750 0.000
Rh1 0.250 0.250 0.882
Rh2 0.250 0.750 0.500
# Calculated total energy ... -22.4456 eV per atom

# r2SCAN NdAsSe, optimized geometry
data_NdAsSe
_cell_length_a 5.719
_cell_length_b 5.675
_cell_length_c 18.080
_cell_angle_alpha 90.00
_cell_angle_beta 90.00
_cell_angle_gamma 90.00
_symmetry_space_group_name_H-M 'C m c e'
_symmetry_Int_Tables_number 64
_symmetry_space_group_name_Hall '-C 2ac 2'
loop_
_atom_site_label
_atom_site_fract_x
_atom_site_fract_y
_atom_site_fract_z
Nd1 0.000 0.243 0.140
As1 0.218 0.000 0.500
Se1 0.000 0.245 0.313
# Calculated total energy ... -21.1686 eV per atom

# r2SCAN NiAs2, optimized geometry
data_NiAs2
_cell_length_a 5.757
_cell_length_b 5.844
_cell_length_c 11.432
_cell_angle_alpha 90.00
_cell_angle_beta 90.00
_cell_angle_gamma 90.00
_symmetry_space_group_name_H-M 'P b c a'
_symmetry_Int_Tables_number 61
loop_
_symmetry_equiv_pos_as_xyz
'x,y,z'
'-x,-y,-z'
'-x+1/2,-y,z+1/2'
'x+1/2,y,-z+1/2'
'x+1/2,-y+1/2,-z'
'-x+1/2,y+1/2,z'
'-x,y+1/2,-z+1/2'
'x,-y+1/2,z+1/2'
loop_
_atom_site_label
_atom_site_fract_x
_atom_site_fract_y
_atom_site_fract_z
Ni1 0.003 0.175 0.128
As1 0.120 0.555 0.181
As2 0.134 0.189 0.931
# Calculated total energy ... -14.0766 eV per atom

# r2SCAN NiAs2, optimized geometry
data_NiAs2
_cell_length_a 4.742
_cell_length_b 5.766
_cell_length_c 3.564
_cell_angle_alpha 90.00
_cell_angle_beta 90.00
_cell_angle_gamma 90.00
_symmetry_space_group_name_H-M 'P n n m'
_symmetry_Int_Tables_number 58
loop_
_symmetry_equiv_pos_as_xyz
'x,y,z'
'-x,-y,-z'
'-x,-y,z'
'x,y,-z'
'x+1/2,-y+1/2,-z+1/2'
'-x+1/2,y+1/2,z+1/2'
'-x+1/2,y+1/2,-z+1/2'
'x+1/2,-y+1/2,z+1/2'
loop_
_atom_site_label
_atom_site_fract_x
_atom_site_fract_y
_atom_site_fract_z
Ni1 0.000 0.000 0.000
As1 0.205 0.370 0.000
# Calculated total energy ... -14.0798 eV per atom

# r2SCAN NiAs2, optimized geometry
data_NiAs2
_cell_length_a 5.746
_cell_length_b 5.746
_cell_length_c 5.746
_cell_angle_alpha 90.00
_cell_angle_beta 90.00
_cell_angle_gamma 90.00
_symmetry_space_group_name_H-M 'P a -3'
_symmetry_Int_Tables_number 205
_symmetry_space_group_name_Hall '-P 2ac 2ab 3'
loop_
_atom_site_label
_atom_site_fract_x
_atom_site_fract_y
_atom_site_fract_z
Ni1 0.000 0.000 0.000
As1 0.122 0.622 0.878
# Calculated total energy ... -14.0598 eV per atom

# r2SCAN NiAs, optimized geometry
data_NiAs
_cell_length_a 3.6027
_cell_length_b 3.6027
_cell_length_c 5.0112
_cell_angle_alpha 90.00
_cell_angle_beta 90.00
_cell_angle_gamma 120.00
_symmetry_space_group_name_H-M 'P 63/m m c'
_symmetry_Int_Tables_number 194
_symmetry_space_group_name_Hall '-P 6c 2c'
loop_
_atom_site_label
_atom_site_fract_x
_atom_site_fract_y
_atom_site_fract_z
Ni1 0.0000 0.0000 0.0000
As1 0.3333 0.6667 0.2500
# Calculated total energy ... -13.6361 eV per atom

# r2SCAN Ni3As2O8, optimized geometry
data_Ni3As2O8
_cell_length_a 5.908
_cell_length_b 11.278
_cell_length_c 8.146
_cell_angle_alpha 90.00
_cell_angle_beta 90.00
_cell_angle_gamma 90.00
_symmetry_space_group_name_H-M 'C m c e'
_symmetry_Int_Tables_number 64
_symmetry_space_group_name_Hall '-C 2ac 2'
loop_
_atom_site_label
_atom_site_fract_x
_atom_site_fract_y
_atom_site_fract_z
Ni1 0.000 0.000 0.000
Ni2 0.250 0.132 0.250
As1 0.000 0.124 0.616
O1 0.000 0.001 0.749
O2 0.000 0.247 0.736
O3 0.239 0.121 0.499
# Relative energy among the computed polymorphs ... 0 meV per atom
# Calculated total energy ... -10.0302 eV per atom

# r2SCAN Ni17As6O32, optimized geometry
data_Ni17As6O32
_cell_length_a 9.826
_cell_length_b 11.871
_cell_length_c 10.321
_cell_angle_alpha 90.00
_cell_angle_beta 110.42
_cell_angle_gamma 90.00
_symmetry_space_group_name_H-M 'P 1 21/c 1'
_symmetry_Int_Tables_number 14
loop_
_symmetry_equiv_pos_as_xyz
'x,y,z'
'-x,-y,-z'
'-x,y+1/2,-z+1/2'
'x,-y+1/2,z+1/2'
loop_
_atom_site_label
_atom_site_fract_x
_atom_site_fract_y
_atom_site_fract_z
Ni1 0.000 0.000 0.000
Ni2 0.001 0.122 0.259
Ni3 0.001 0.744 0.999
Ni4 0.257 0.000 0.748
Ni5 0.257 0.622 0.005
Ni6 0.262 0.249 0.257
Ni7 0.263 0.501 0.753
Ni8 0.264 0.125 0.005
Ni9 0.267 0.750 0.256
As1 0.000 0.125 0.749
As2 0.423 0.125 0.557
As3 0.424 0.625 0.557
O1 0.113 0.627 0.637
O2 0.114 0.237 0.866
O3 0.114 0.736 0.861
O4 0.115 0.015 0.862
O5 0.120 0.131 0.651
O6 0.120 0.517 0.854
O7 0.130 0.124 0.127
O8 0.141 0.634 0.136
O9 0.370 0.007 0.619
O10 0.370 0.124 0.382
O11 0.370 0.243 0.620
O12 0.371 0.507 0.619
O13 0.371 0.744 0.617
O14 0.372 0.623 0.382
O15 0.386 0.125 0.879
O16 0.388 0.624 0.880
# Calculated total energy ... -10.0607 eV per atom

# r2SCAN Ni3As2O8, optimized geometry
data_Ni3As2O8
_cell_length_a 5.764
_cell_length_b 9.553
_cell_length_c 10.172
_cell_angle_alpha 90.00
_cell_angle_beta 92.89
_cell_angle_gamma 90.00
_symmetry_space_group_name_H-M 'P 1 21/c 1'
_symmetry_Int_Tables_number 14
loop_
_symmetry_equiv_pos_as_xyz
'x,y,z'
'-x,-y,-z'
'-x,y+1/2,-z+1/2'
'x,-y+1/2,z+1/2'
loop_
_atom_site_label
_atom_site_fract_x
_atom_site_fract_y
_atom_site_fract_z
Ni1 0.115 0.135 0.465
Ni2 0.358 0.137 0.215
Ni3 0.364 0.623 0.558
As1 0.124 0.056 0.795
As2 0.368 0.655 0.882
O1 0.116 0.007 0.634
O2 0.117 0.004 0.132
O3 0.131 0.235 0.804
O4 0.156 0.733 0.967
O5 0.370 0.022 0.382
O6 0.373 0.512 0.377
O7 0.387 0.725 0.729
O8 0.394 0.246 0.546
# Relative energy among the computed polymorphs ... 7 meV per atom
# Calculated total energy ... -10.0233 eV per atom